Below is a relaxed structure of NiPbF6, with properties calculated at the meta-GGA r2SCAN level.

Cell: 5.5644 5.5644 5.5644 Å, 54.31 54.31 54.31°
With the nearest neighbours (Å) after each atom.
Fractional coordinates of all 8 atoms:
F  0.7611  0.3933  0.0891  1 Ni 1.98, 1 Pb 2.10
F  0.0891  0.7611  0.3933  1 Ni 1.98, 1 Pb 2.10
F  0.2389  0.6067  0.9109  1 Ni 1.98, 1 Pb 2.10
F  0.3933  0.0891  0.7611  1 Ni 1.98, 1 Pb 2.10
F  0.9109  0.2389  0.6067  1 Ni 1.98, 1 Pb 2.10
F  0.6067  0.9109  0.2389  1 Ni 1.98, 1 Pb 2.10
Ni  0.0000  0.0000  0.0000  6 F 1.98
Pb  0.5000  0.5000  0.5000  6 F 2.10

Computed properties:
As for the crystal system: trigonal. For the total magnetic moment, the calculation gives 0.250 μB per atom. The calculation puts the electronic total energy at -104.0 eV for the cell shown. The theoretical density is 6.0 g/cm3.